one:
Density functional theory data (GGA+U) for crystalline Mn12O7F17 at its relaxed geometry.

abc: 4.909 5.574 16.114
angles: 96.69 90.31 93.36
Space group P1 (No. 1)
Symmetry-distinct sites (fractional):
Mn 0.000 0.000 0.000 [1 per cell]
Mn 0.004 0.885 0.676 [1 per cell]
Mn 0.389 0.899 0.206 [1 per cell]
Mn 0.430 0.401 0.338 [1 per cell]
Mn 0.447 0.369 0.676 [1 per cell]
Mn 0.484 0.029 0.512 [1 per cell]
Mn 0.489 0.071 0.847 [1 per cell]
Mn 0.493 0.478 0.006 [1 per cell]
Mn 0.936 0.514 0.490 [1 per cell]
Mn 0.960 0.862 0.340 [1 per cell]
Mn 0.986 0.642 0.838 [1 per cell]
Mn 0.992 0.403 0.185 [1 per cell]
O 0.190 0.116 0.294 [1 per cell]
O 0.202 0.864 0.780 [1 per cell]
O 0.217 0.632 0.282 [1 per cell]
O 0.264 0.088 0.622 [1 per cell]
O 0.302 0.175 0.952 [1 per cell]
O 0.729 0.614 0.386 [1 per cell]
O 0.801 0.904 0.895 [1 per cell]
F 0.186 0.082 0.114 [1 per cell]
F 0.198 0.805 0.452 [1 per cell]
F 0.202 0.578 0.615 [1 per cell]
F 0.213 0.378 0.783 [1 per cell]
F 0.233 0.674 0.946 [1 per cell]
F 0.274 0.592 0.114 [1 per cell]
F 0.289 0.325 0.456 [1 per cell]
F 0.651 0.244 0.234 [1 per cell]
F 0.685 0.124 0.736 [1 per cell]
F 0.712 0.323 0.575 [1 per cell]
F 0.724 0.629 0.724 [1 per cell]
F 0.730 0.408 0.888 [1 per cell]
F 0.730 0.781 0.047 [1 per cell]
F 0.746 0.111 0.410 [1 per cell]
F 0.762 0.756 0.219 [1 per cell]
F 0.770 0.822 0.570 [1 per cell]
F 0.777 0.301 0.064 [1 per cell]



two:
Density functional theory data (GGA+U) for crystalline Mn12O7F17 at its relaxed geometry.

abc: 4.800 5.794 15.855
angles: 89.46 89.79 86.14
Space group P1 (No. 1)
Symmetry-distinct sites (fractional):
Mn 0.000 0.000 0.000 [1 per cell]
Mn 0.003 0.328 0.168 [1 per cell]
Mn 0.006 0.024 0.672 [1 per cell]
Mn 0.477 0.848 0.514 [1 per cell]
Mn 0.492 0.533 0.998 [1 per cell]
Mn 0.497 0.517 0.671 [1 per cell]
Mn 0.501 0.822 0.844 [1 per cell]
Mn 0.506 0.525 0.338 [1 per cell]
Mn 0.516 0.866 0.185 [1 per cell]
Mn 0.965 0.348 0.832 [1 per cell]
Mn 0.980 0.341 0.492 [1 per cell]
Mn 0.986 0.023 0.331 [1 per cell]
O 0.276 0.788 0.625 [1 per cell]
O 0.285 0.786 0.945 [1 per cell]
O 0.289 0.796 0.285 [1 per cell]
O 0.716 0.572 0.897 [1 per cell]
O 0.767 0.288 0.384 [1 per cell]
O 0.781 0.294 0.721 [1 per cell]
O 0.796 0.067 0.225 [1 per cell]
F 0.211 0.292 0.942 [1 per cell]
F 0.216 0.055 0.437 [1 per cell]
F 0.235 0.052 0.785 [1 per cell]
F 0.241 0.281 0.605 [1 per cell]
F 0.242 0.068 0.109 [1 per cell]
F 0.260 0.300 0.277 [1 per cell]
F 0.272 0.548 0.777 [1 per cell]
F 0.275 0.559 0.109 [1 per cell]
F 0.280 0.560 0.449 [1 per cell]
F 0.731 0.560 0.567 [1 per cell]
F 0.731 0.801 0.074 [1 per cell]
F 0.736 0.778 0.402 [1 per cell]
F 0.736 0.795 0.738 [1 per cell]
F 0.747 0.562 0.230 [1 per cell]
F 0.757 0.298 0.054 [1 per cell]
F 0.762 0.071 0.892 [1 per cell]
F 0.784 0.061 0.560 [1 per cell]



The structure with the most favorable energy is two; the runner-up is 13 meV/atom above it.



one:
Density functional theory data (GGA+U) for crystalline V3O5F at its relaxed geometry.

abc: 4.656 5.556 7.502
angles: 84.51 89.28 88.86
Space group P-1 (No. 2)
Symmetry-distinct sites (fractional):
V 0.000 0.000 0.000 [1 per cell]
V 0.016 0.354 0.664 [2 per cell]
V 0.481 0.822 0.659 [2 per cell]
V 0.500 0.500 0.000 [1 per cell]
O 0.201 0.306 0.899 [2 per cell]
O 0.203 0.639 0.562 [2 per cell]
O 0.302 0.134 0.562 [2 per cell]
O 0.303 0.459 0.238 [2 per cell]
O 0.309 0.805 0.891 [2 per cell]
F 0.203 0.961 0.240 [2 per cell]



two:
Density functional theory data (GGA+U) for crystalline V3O5F at its relaxed geometry.

abc: 6.436 3.066 10.290
angles: 90.00 108.15 90.00
Space group Pm (No. 6)
Symmetry-distinct sites (fractional):
V 0.000 0.000 0.000 [1 per cell]
V 0.146 0.500 0.327 [1 per cell]
V 0.327 0.000 0.653 [1 per cell]
V 0.512 0.500 0.026 [1 per cell]
V 0.686 0.000 0.348 [1 per cell]
V 0.835 0.500 0.671 [1 per cell]
O 0.042 0.000 0.670 [1 per cell]
O 0.067 0.500 0.127 [1 per cell]
O 0.272 0.500 0.535 [1 per cell]
O 0.304 0.000 0.001 [1 per cell]
O 0.597 0.500 0.206 [1 per cell]
O 0.630 0.000 0.672 [1 per cell]
O 0.699 0.000 0.003 [1 per cell]
O 0.737 0.500 0.481 [1 per cell]
O 0.934 0.500 0.867 [1 per cell]
O 0.967 0.000 0.334 [1 per cell]
F 0.366 0.000 0.334 [1 per cell]
F 0.399 0.500 0.798 [1 per cell]



The structure with the most favorable energy is two; the runner-up is 28 meV/atom above it.



one:
Density functional theory data (GGA+U) for crystalline Li4VCr3O8 at its relaxed geometry.

abc: 5.957 5.958 8.407
angles: 90.00 90.16 90.00
Space group P2/m (No. 10)
Symmetry-distinct sites (fractional):
Li 0.000 0.000 0.000 [1 per cell]
Li 0.000 0.500 0.000 [1 per cell]
Li 0.250 0.247 0.249 [4 per cell]
Li 0.500 0.000 0.500 [1 per cell]
Li 0.500 0.500 0.500 [1 per cell]
V 0.000 0.500 0.500 [1 per cell]
V 0.500 0.500 0.000 [1 per cell]
Cr 0.000 0.000 0.500 [1 per cell]
Cr 0.249 0.250 0.750 [4 per cell]
Cr 0.500 0.000 0.000 [1 per cell]
O 0.016 0.500 0.745 [2 per cell]
O 0.017 0.000 0.741 [2 per cell]
O 0.236 0.248 0.508 [4 per cell]
O 0.265 0.247 0.991 [4 per cell]
O 0.482 0.000 0.759 [2 per cell]
O 0.483 0.500 0.757 [2 per cell]



two:
Density functional theory data (GGA+U) for crystalline Li4VCr3O8 at its relaxed geometry.

abc: 5.151 7.868 7.870
angles: 94.18 96.35 108.79
Space group P-1 (No. 2)
Symmetry-distinct sites (fractional):
Li 0.000 0.000 0.000 [1 per cell]
Li 0.126 0.124 0.375 [2 per cell]
Li 0.251 0.249 0.750 [2 per cell]
Li 0.374 0.375 0.123 [2 per cell]
Li 0.500 0.500 0.500 [1 per cell]
V 0.062 0.562 0.686 [2 per cell]
Cr 0.188 0.688 0.062 [2 per cell]
Cr 0.314 0.814 0.437 [2 per cell]
Cr 0.438 0.937 0.812 [2 per cell]
O 0.052 0.777 0.845 [2 per cell]
O 0.075 0.345 0.531 [2 per cell]
O 0.177 0.902 0.219 [2 per cell]
O 0.198 0.473 0.906 [2 per cell]
O 0.302 0.026 0.595 [2 per cell]
O 0.328 0.601 0.280 [2 per cell]
O 0.427 0.151 0.970 [2 per cell]
O 0.453 0.726 0.654 [2 per cell]



The structure with the most favorable energy is one; the runner-up is 5 meV/atom above it.



one:
Density functional theory data (GGA+U) for crystalline MgFe10O16F4 at its relaxed geometry.

abc: 4.854 5.555 12.875
angles: 101.47 90.24 90.32
Space group P1 (No. 1)
Symmetry-distinct sites (fractional):
Mg 0.000 0.000 0.000 [1 per cell]
Fe 0.002 0.808 0.708 [1 per cell]
Fe 0.030 0.546 0.891 [1 per cell]
Fe 0.455 0.499 0.498 [1 per cell]
Fe 0.458 0.269 0.691 [1 per cell]
Fe 0.497 0.074 0.900 [1 per cell]
Fe 0.501 0.700 0.304 [1 per cell]
Fe 0.518 0.892 0.104 [1 per cell]
Fe 0.953 0.230 0.313 [1 per cell]
Fe 0.958 0.005 0.510 [1 per cell]
Fe 0.993 0.465 0.113 [1 per cell]
O 0.156 0.746 0.566 [1 per cell]
O 0.166 0.308 0.969 [1 per cell]
O 0.178 0.528 0.753 [1 per cell]
O 0.279 0.237 0.555 [1 per cell]
O 0.288 0.451 0.356 [1 per cell]
O 0.301 0.040 0.767 [1 per cell]
O 0.319 0.655 0.167 [1 per cell]
O 0.332 0.810 0.964 [1 per cell]
O 0.658 0.763 0.442 [1 per cell]
O 0.662 0.168 0.048 [1 per cell]
O 0.668 0.971 0.246 [1 per cell]
O 0.779 0.262 0.449 [1 per cell]
O 0.785 0.049 0.649 [1 per cell]
O 0.806 0.475 0.244 [1 per cell]
O 0.834 0.860 0.849 [1 per cell]
O 0.837 0.691 0.037 [1 per cell]
F 0.154 0.130 0.153 [1 per cell]
F 0.158 0.951 0.361 [1 per cell]
F 0.662 0.553 0.644 [1 per cell]
F 0.675 0.359 0.843 [1 per cell]



two:
Density functional theory data (GGA+U) for crystalline MgFe10O16F4 at its relaxed geometry.

abc: 4.830 5.627 12.893
angles: 79.94 87.49 88.84
Space group P1 (No. 1)
Symmetry-distinct sites (fractional):
Mg 0.000 0.000 0.000 [1 per cell]
Fe 0.260 0.808 0.744 [1 per cell]
Fe 0.323 0.201 0.548 [1 per cell]
Fe 0.365 0.557 0.343 [1 per cell]
Fe 0.425 0.310 0.954 [1 per cell]
Fe 0.428 0.939 0.160 [1 per cell]
Fe 0.689 0.754 0.896 [1 per cell]
Fe 0.809 0.308 0.731 [1 per cell]
Fe 0.853 0.678 0.539 [1 per cell]
Fe 0.887 0.421 0.155 [1 per cell]
Fe 0.899 0.044 0.347 [1 per cell]
O 0.008 0.620 0.677 [1 per cell]
O 0.031 0.993 0.486 [1 per cell]
O 0.073 0.792 0.885 [1 per cell]
O 0.081 0.344 0.289 [1 per cell]
O 0.120 0.124 0.680 [1 per cell]
O 0.168 0.500 0.475 [1 per cell]
O 0.187 0.217 0.082 [1 per cell]
O 0.203 0.858 0.291 [1 per cell]
O 0.531 0.527 0.818 [1 per cell]
O 0.581 0.610 0.215 [1 per cell]
O 0.587 0.013 0.794 [1 per cell]
O 0.589 0.984 0.003 [1 per cell]
O 0.633 0.391 0.597 [1 per cell]
O 0.683 0.498 0.015 [1 per cell]
O 0.685 0.757 0.407 [1 per cell]
O 0.717 0.109 0.213 [1 per cell]
F 0.056 0.271 0.878 [1 per cell]
F 0.105 0.724 0.103 [1 per cell]
F 0.512 0.879 0.603 [1 per cell]
F 0.557 0.245 0.407 [1 per cell]



The structure with the most favorable energy is one; the runner-up is 8 meV/atom above it.